[1]
Below is an optimized crystal structure of Si2Cl2O3, with properties calculated at the GGA-PBE level.

* ΔH_f (0 K): -2.52 eV/atom
* DFT total energy: -0.4722 Ry/atom

a b c (Å): 8.6711 8.6711 8.6711
angles (deg): 95.78 95.78 95.78
Last column: nearest neighbours and their distance in Å.
Fractional coordinates of all 28 atoms:
Si1 0.2580 0.0819 0.8619  3 O 1.63
Si2 0.7977 0.7977 0.7977  3 O 1.63
Si3 0.1381 0.7420 0.9181  3 O 1.63
Cl1 0.4495 0.1436 0.7575  1 Si 2.02
Cl2 0.8564 0.2425 0.5505  1 Si 2.02
Cl3 0.6474 0.6474 0.6474  1 Si 2.02
O1 0.2411 0.8943 0.8711  2 Si 1.63
O2 0.8265 0.9627 0.7242  2 Si 1.63
O3 0.1735 0.0373 0.2758  2 Si 1.63
O4 0.9627 0.7242 0.8265  2 Si 1.63
Cl4 0.3526 0.3526 0.3526  1 Si 2.02
O5 0.1057 0.1289 0.7589  2 Si 1.63
Si4 0.7420 0.9181 0.1381  3 O 1.63
O6 0.0373 0.2758 0.1735  2 Si 1.63
O7 0.7242 0.8265 0.9627  2 Si 1.63
O8 0.1289 0.7589 0.1057  2 Si 1.63
Si5 0.2023 0.2023 0.2023  3 O 1.63
O9 0.8943 0.8711 0.2411  2 Si 1.63
Cl5 0.5505 0.8564 0.2425  1 Si 2.02
Cl6 0.2425 0.5505 0.8564  1 Si 2.02
Si6 0.9181 0.1381 0.7420  3 O 1.63
Cl7 0.7575 0.4495 0.1436  1 Si 2.02
O10 0.7589 0.1057 0.1289  2 Si 1.63
Si7 0.0819 0.8619 0.2580  3 O 1.63
O11 0.2758 0.1735 0.0373  2 Si 1.63
Si8 0.8619 0.2580 0.0819  3 O 1.63
O12 0.8711 0.2411 0.8943  2 Si 1.63
Cl8 0.1436 0.7575 0.4495  1 Si 2.02

[2]
Below is an optimized crystal structure of Si6Cl10O7, with properties calculated at the GGA-PBE level.

* ΔH_f (0 K): -2.15 eV/atom
* DFT total energy: -0.4168 Ry/atom

a b c (Å): 21.4035 6.4549 8.6383
angles (deg): 80.72 90.00 90.00
Last column: nearest neighbours and their distance in Å.
Fractional coordinates of all 46 atoms:
O1 0.3876 0.0527 0.6279  2 Si 1.62
Cl1 0.9461 0.8205 0.6869  1 Si 2.03
O2 0.8117 0.7613 0.1930  2 Si 1.62-1.63
O3 0.6124 0.9473 0.3721  2 Si 1.62
Si1 0.8811 0.9926 0.5507  2 O 1.62-1.63
Si2 0.6189 0.9926 0.5507  2 O 1.62-1.63
Si3 0.3811 0.0074 0.4493  2 O 1.62-1.63
O4 0.3116 0.0697 0.3813  2 Si 1.63
O5 0.6884 0.9303 0.6187  2 Si 1.63
Cl2 0.2500 0.6588 0.7431  1 Si 2.03
Si4 0.3791 0.1246 0.7982  2 O 1.62-1.63
O6 0.1883 0.2387 0.8070  2 Si 1.62-1.63
O7 0.7500 0.6685 0.4639  2 Si 1.62-1.63
Si5 0.7500 0.7826 0.6186  3 O 1.63
O8 0.3117 0.2387 0.8070  2 Si 1.62-1.63
Cl3 0.6172 0.1311 0.0316  1 Si 2.03
Si6 0.2500 0.3501 0.7211  3 O 1.62
Cl4 0.5515 0.6739 0.1671  1 Si 2.03
Si7 0.2500 0.2174 0.3814  3 O 1.63
Cl5 0.6042 0.3020 0.5558  1 Si 2.03
Cl6 0.1172 0.8689 0.9684  1 Si 2.03
Cl7 0.4461 0.1795 0.3131  1 Si 2.03
O9 0.2500 0.3315 0.5361  2 Si 1.62-1.63
O10 0.6883 0.7613 0.1930  2 Si 1.62-1.63
Si8 0.8791 0.8754 0.2018  2 O 1.62-1.63
Cl8 0.4485 0.3261 0.8329  1 Si 2.03
Cl9 0.3958 0.6980 0.4442  1 Si 2.03
Cl10 0.3828 0.8689 0.9684  1 Si 2.03
O11 0.1124 0.0527 0.6279  2 Si 1.62
Cl11 0.8828 0.1311 0.0316  1 Si 2.03
O12 0.8116 0.9303 0.6187  2 Si 1.63
Si9 0.6209 0.8754 0.2018  2 O 1.62-1.63
Si10 0.7500 0.6499 0.2789  3 O 1.62
Cl12 0.2500 0.4412 0.1878  1 Si 2.03
Cl13 0.7500 0.5588 0.8122  1 Si 2.03
Si11 0.1209 0.1246 0.7982  2 O 1.62-1.63
Cl14 0.9485 0.6739 0.1671  1 Si 2.03
Cl15 0.0515 0.3261 0.8329  1 Si 2.03
Cl16 0.8958 0.3020 0.5558  1 Si 2.03
O13 0.8876 0.9473 0.3721  2 Si 1.62
Si12 0.1189 0.0074 0.4493  2 O 1.62-1.63
Cl17 0.0539 0.1795 0.3131  1 Si 2.03
Cl18 0.7500 0.3412 0.2569  1 Si 2.03
Cl19 0.1042 0.6980 0.4442  1 Si 2.03
Cl20 0.5539 0.8205 0.6869  1 Si 2.03
O14 0.1884 0.0697 0.3813  2 Si 1.63

[3]
Below is an optimized crystal structure of Sm3Si2ClO8, with properties calculated at the GGA-PBE level.

* ΔH_f (0 K): -3.58 eV/atom
* DFT total energy: -0.5831 Ry/atom

a b c (Å): 6.3232 7.0748 18.1653
angles (deg): 90.00 90.00 90.00
Last column: nearest neighbours and their distance in Å.
Fractional coordinates of all 56 atoms:
O1 0.4491 0.7034 0.5946  1 Si 1.63
Si1 0.3789 0.4676 0.4001  4 O 1.63-1.68
Sm1 0.6269 0.9772 0.0906  6 O 2.30-2.56
O2 0.2253 0.4548 0.3251  1 Si 1.68
O3 0.2861 0.9822 0.4689  1 Si 1.63
O4 0.9701 0.1545 0.1186  1 Si 1.67
Cl1 0.2380 0.5551 0.7500  4 Sm 2.85-2.99, 2 O 3.17
Cl2 0.7380 0.9449 0.2500  4 Sm 2.85-2.99, 2 O 3.17
O5 0.7747 0.5452 0.6749  1 Si 1.68
O6 0.2139 0.4822 0.4689  1 Si 1.63
O7 0.4701 0.3455 0.8814  1 Si 1.67
O8 0.5299 0.6545 0.3814  1 Si 1.67
O9 0.7139 0.0178 0.5311  1 Si 1.63
O10 0.0509 0.2034 0.5946  1 Si 1.63
Sm2 0.3731 0.0228 0.5906  6 O 2.30-2.56
Si2 0.8789 0.0324 0.9001  4 O 1.63-1.68
O11 0.4491 0.7034 0.9054  1 Si 1.63
Si3 0.8789 0.0324 0.5999  4 O 1.63-1.68
O12 0.9491 0.7966 0.0946  1 Si 1.63
O13 0.7861 0.5178 0.5311  1 Si 1.63
Sm3 0.1269 0.5228 0.5906  6 O 2.30-2.56
Sm4 0.8847 0.8058 0.7500  6 O 2.40-2.57
Sm5 0.1269 0.5228 0.9094  6 O 2.30-2.56
Cl3 0.2620 0.0551 0.7500  4 Sm 2.85-2.99, 2 O 3.17
O14 0.5509 0.2966 0.4054  1 Si 1.63
O15 0.0299 0.8455 0.8814  1 Si 1.67
Si4 0.6211 0.5324 0.5999  4 O 1.63-1.68
O16 0.2747 0.9548 0.3251  1 Si 1.68
Sm6 0.8731 0.4772 0.4094  6 O 2.30-2.56
Si5 0.6211 0.5324 0.9001  4 O 1.63-1.68
O17 0.7139 0.0178 0.9689  1 Si 1.63
O18 0.2861 0.9822 0.0311  1 Si 1.63
O19 0.7747 0.5452 0.8251  1 Si 1.68
O20 0.0509 0.2034 0.9054  1 Si 1.63
Sm7 0.3847 0.6942 0.2500  6 O 2.40-2.57
Sm8 0.3731 0.0228 0.9094  6 O 2.30-2.56
Si6 0.1211 0.9676 0.4001  4 O 1.63-1.68
O21 0.9491 0.7966 0.4054  1 Si 1.63
O22 0.7861 0.5178 0.9689  1 Si 1.63
O23 0.2253 0.4548 0.1749  1 Si 1.68
O24 0.2747 0.9548 0.1749  1 Si 1.68
Si7 0.1211 0.9676 0.0999  4 O 1.63-1.68
Sm9 0.8731 0.4772 0.0906  6 O 2.30-2.56
O25 0.0299 0.8455 0.6186  1 Si 1.67
Sm10 0.6269 0.9772 0.4094  6 O 2.30-2.56
O26 0.7253 0.0452 0.6749  1 Si 1.68
Cl4 0.7620 0.4449 0.2500  4 Sm 2.85-2.99, 2 O 3.17
O27 0.5299 0.6545 0.1186  1 Si 1.67
O28 0.5509 0.2966 0.0946  1 Si 1.63
O29 0.7253 0.0452 0.8251  1 Si 1.68
Sm11 0.1153 0.1942 0.2500  6 O 2.40-2.57
O30 0.9701 0.1545 0.3814  1 Si 1.67
Sm12 0.6153 0.3058 0.7500  6 O 2.40-2.57
Si8 0.3789 0.4676 0.0999  4 O 1.63-1.68
O31 0.2139 0.4822 0.0311  1 Si 1.63
O32 0.4701 0.3455 0.6186  1 Si 1.67

Look up the DFT total energy of the third one. -0.5831 Ry/atom